Record 1
! GGA-PBE LiTm2Ir, relaxed; values from VASP
! ΔE_f = -0.64 eV/atom
&SYSTEM
  ibrav = 0, nat = 4, ntyp = 3
/
ATOMIC_SPECIES
Tm 168.93 Tm.upf
Ir 192.22 Ir.upf
Li 6.94 Li.upf
CELL_PARAMETERS angstrom
0.0000 3.4307 3.4307
3.4307 0.0000 3.4307
3.4307 3.4307 0.0000
ATOMIC_POSITIONS crystal
Tm 0.7500 0.7500 0.7500
Tm 0.2500 0.2500 0.2500
Ir 0.5000 0.5000 0.5000
Li 0.0000 0.0000 0.0000



Record 2
! GGA-PBE LiVIr2, relaxed; values from VASP
! ΔE_f = -0.49 eV/atom
&SYSTEM
  ibrav = 0, nat = 4, ntyp = 3
/
ATOMIC_SPECIES
Ir 192.22 Ir.upf
Li 6.94 Li.upf
V 50.94 V.upf
CELL_PARAMETERS angstrom
-2.6263 -2.2781 2.3478
-3.9881 -0.5025 -1.2007
-1.3249 -3.7398 -1.3629
ATOMIC_POSITIONS crystal
Ir 0.7500 0.7500 0.7500
Ir 0.2500 0.2500 0.2500
Li 0.5000 0.5000 0.5000
V 0.0000 0.0000 0.0000



Record 3
! GGA-PBE LiY2Ir, relaxed; values from VASP
! ΔE_f = -0.56 eV/atom
&SYSTEM
  ibrav = 0, nat = 4, ntyp = 3
/
ATOMIC_SPECIES
Ir 192.22 Ir.upf
Y 88.91 Y.upf
Li 6.94 Li.upf
CELL_PARAMETERS angstrom
0.0000 3.4905 3.4905
3.4905 0.0000 3.4905
3.4905 3.4905 0.0000
ATOMIC_POSITIONS crystal
Ir 0.5000 0.5000 0.5000
Y 0.7500 0.7500 0.7500
Y 0.2500 0.2500 0.2500
Li 0.0000 0.0000 0.0000